Record 1
MgFe6O7F5 | PBE with a Hubbard U | optimized geometry

Calculated formation energy in kJ/mol of atoms: -191.5
Excess energy over the best structure of this formula in the dataset in meV/atom: 82
Space group: No. 1

Cell lengths 4.951, 5.816, 7.805 Å; angles 82.16, 87.07, 84.22 degrees
Element x y z (fractional)
Mg1 0.000 0.000 0.000
Fe1 0.020 0.200 0.355
Fe2 0.023 0.802 0.625
Fe3 0.032 0.491 0.002
Fe4 0.479 0.661 0.294
Fe5 0.493 0.016 0.999
Fe6 0.548 0.334 0.688
O1 0.202 0.206 0.117
O2 0.218 0.536 0.763
O3 0.228 0.877 0.419
O4 0.270 0.722 0.085
O5 0.742 0.273 0.898
O6 0.799 0.465 0.228
O7 0.808 0.113 0.566
F1 0.273 0.045 0.774
F2 0.313 0.384 0.440
F3 0.718 0.614 0.558
F4 0.736 0.936 0.212
F5 0.800 0.790 0.883

=====

Record 2
MgFe6O10F2 | PBE with a Hubbard U | optimized geometry

Calculated formation energy in kJ/mol of atoms: -164.4
Excess energy over the best structure of this formula in the dataset in meV/atom: 68
Space group: No. 8

Cell lengths 5.147, 5.147, 8.843 Å; angles 90.15, 90.15, 75.93 degrees
Element x y z (fractional)
Mg1 0.000 0.000 0.000
Fe1 0.301 0.301 0.330
Fe2 0.308 0.308 0.659
Fe3 0.346 0.346 0.006
Fe4 0.718 0.718 0.812
Fe5 0.723 0.723 0.185
Fe6 0.893 0.893 0.499
O1 0.002 0.618 0.663
O2 0.008 0.627 0.335
O3 0.136 0.136 0.499
O4 0.167 0.167 0.151
O5 0.482 0.482 0.828
O6 0.493 0.493 0.175
O7 0.617 0.989 0.993
O8 0.618 0.002 0.663
O9 0.627 0.008 0.335
O10 0.989 0.617 0.993
F1 0.139 0.139 0.829
F2 0.474 0.474 0.498

=====

Record 3
MgFe6O10F2 | PBE with a Hubbard U | optimized geometry

Calculated formation energy in kJ/mol of atoms: -165.2
Excess energy over the best structure of this formula in the dataset in meV/atom: 59
Space group: No. 1

Cell lengths 5.704, 5.871, 7.630 Å; angles 109.23, 97.75, 110.79 degrees
Element x y z (fractional)
Mg1 0.000 0.000 0.000
Fe1 0.005 0.047 0.506
Fe2 0.044 0.477 0.954
Fe3 0.351 0.526 0.327
Fe4 0.390 0.038 0.825
Fe5 0.629 0.056 0.183
Fe6 0.692 0.484 0.627
O1 0.053 0.707 0.815
O2 0.111 0.181 0.793
O3 0.317 0.348 0.500
O4 0.370 0.714 0.163
O5 0.399 0.204 0.117
O6 0.610 0.892 0.909
O7 0.671 0.338 0.823
O8 0.705 0.714 0.486
O9 0.773 0.210 0.456
O10 0.990 0.344 0.167
F1 0.250 0.854 0.530
F2 0.920 0.874 0.209

=====

Record 4
MgFe12O12F12 | PBE with a Hubbard U | optimized geometry

Calculated formation energy in kJ/mol of atoms: -199.3
Excess energy over the best structure of this formula in the dataset in meV/atom: 28
Space group: No. 1

Cell lengths 3.091, 9.731, 14.462 Å; angles 90.97, 90.05, 90.04 degrees
Element x y z (fractional)
Mg1 0.000 0.000 0.000
Fe1 0.010 0.467 0.179
Fe2 0.011 0.471 0.817
Fe3 0.013 0.956 0.187
Fe4 0.017 0.475 0.508
Fe5 0.019 0.968 0.497
Fe6 0.022 0.981 0.821
Fe7 0.505 0.264 0.978
Fe8 0.508 0.733 0.995
Fe9 0.515 0.252 0.658
Fe10 0.516 0.741 0.341
Fe11 0.518 0.229 0.367
Fe12 0.522 0.736 0.643
O1 0.006 0.348 0.927
O2 0.008 0.818 0.938
O3 0.015 0.322 0.598
O4 0.015 0.815 0.269
O5 0.018 0.127 0.408
O6 0.022 0.837 0.601
O7 0.503 0.076 0.921
O8 0.510 0.910 0.093
O9 0.511 0.387 0.763
O10 0.517 0.394 0.435
O11 0.518 0.578 0.565
O12 0.519 0.879 0.436
F1 0.006 0.169 0.070
F2 0.009 0.638 0.069
F3 0.014 0.638 0.734
F4 0.015 0.310 0.271
F5 0.016 0.634 0.397
F6 0.019 0.140 0.731
F7 0.508 0.392 0.094
F8 0.508 0.582 0.897
F9 0.512 0.578 0.241
F10 0.514 0.070 0.237
F11 0.519 0.076 0.571
F12 0.524 0.871 0.763

=====

Record 5
MgFe4O4F4 | PBE with a Hubbard U | optimized geometry

Calculated formation energy in kJ/mol of atoms: -209.4
Excess energy over the best structure of this formula in the dataset in meV/atom: 38
Space group: No. 1

Cell lengths 5.262, 5.736, 5.853 Å; angles 64.25, 84.88, 84.04 degrees
Element x y z (fractional)
Mg1 0.000 0.000 0.000
Fe1 0.047 0.263 0.273
Fe2 0.459 0.187 0.731
Fe3 0.532 0.778 0.254
Fe4 0.974 0.758 0.686
O1 0.177 0.067 0.636
O2 0.320 0.115 0.074
O3 0.711 0.899 0.872
O4 0.851 0.904 0.360
F1 0.164 0.634 0.089
F2 0.316 0.575 0.607
F3 0.678 0.387 0.403
F4 0.863 0.394 0.881

=====

Record 6
MgFe4O4F4 | PBE with a Hubbard U | optimized geometry

Calculated formation energy in kJ/mol of atoms: -207.0
Excess energy over the best structure of this formula in the dataset in meV/atom: 63
Space group: No. 1

Cell lengths 5.444, 5.505, 5.738 Å; angles 86.03, 79.94, 88.60 degrees
Element x y z (fractional)
Mg1 0.000 0.000 0.000
Fe1 0.131 0.549 0.769
Fe2 0.458 0.077 0.097
Fe3 0.600 0.883 0.574
Fe4 0.943 0.402 0.326
O1 0.179 0.303 0.046
O2 0.325 0.851 0.837
O3 0.741 0.120 0.303
O4 0.840 0.623 0.572
F1 0.202 0.290 0.516
F2 0.377 0.790 0.355
F3 0.756 0.095 0.797
F4 0.860 0.672 0.083

=====

Record 7
MgFe6O11F | PBE with a Hubbard U | optimized geometry

Calculated formation energy in kJ/mol of atoms: -151.7
Excess energy over the best structure of this formula in the dataset in meV/atom: 73
Space group: No. 1

Cell lengths 4.918, 5.546, 7.481 Å; angles 84.13, 88.52, 88.32 degrees
Element x y z (fractional)
Mg1 0.000 0.000 0.000
Fe1 0.483 0.494 0.507
Fe2 0.499 0.147 0.830
Fe3 0.511 0.868 0.203
Fe4 0.972 0.369 0.205
Fe5 0.985 0.607 0.804
Fe6 0.993 0.996 0.512
O1 0.155 0.946 0.748
O2 0.170 0.294 0.422
O3 0.282 0.811 0.415
O4 0.324 0.445 0.749
O5 0.328 0.145 0.079
O6 0.656 0.551 0.270
O7 0.658 0.853 0.947
O8 0.701 0.185 0.605
O9 0.804 0.703 0.590
O10 0.834 0.036 0.273
O11 0.838 0.336 0.951
F1 0.152 0.666 0.076

=====

Record 8
MgFe12O12F12 | PBE with a Hubbard U | optimized geometry

Calculated formation energy in kJ/mol of atoms: -198.5
Excess energy over the best structure of this formula in the dataset in meV/atom: 36
Space group: No. 6

Cell lengths 9.717, 3.110, 14.528 Å; angles 90.00, 93.27, 90.00 degrees
Element x y z (fractional)
Mg1 0.000 0.000 0.000
Fe1 0.018 0.000 0.179
Fe2 0.032 0.000 0.544
Fe3 0.089 0.000 0.817
Fe4 0.268 0.500 0.363
Fe5 0.277 0.500 0.008
Fe6 0.304 0.500 0.675
Fe7 0.533 0.000 0.198
Fe8 0.558 0.000 0.824
Fe9 0.563 0.000 0.516
Fe10 0.731 0.500 0.045
Fe11 0.762 0.500 0.357
Fe12 0.781 0.500 0.678
O1 0.098 0.500 0.098
O2 0.156 0.500 0.769
O3 0.181 0.000 0.943
O4 0.207 0.000 0.611
O5 0.400 0.000 0.742
O6 0.580 0.500 0.131
O7 0.634 0.500 0.453
O8 0.658 0.500 0.788
O9 0.688 0.000 0.290
O10 0.691 0.000 0.622
O11 0.860 0.000 0.091
O12 0.939 0.500 0.594
F1 0.110 0.500 0.455
F2 0.170 0.000 0.282
F3 0.348 0.000 0.088
F4 0.378 0.000 0.427
F5 0.418 0.500 0.262
F6 0.427 0.500 0.926
F7 0.452 0.500 0.575
F8 0.658 0.000 0.953
F9 0.881 0.000 0.418
F10 0.900 0.000 0.757
F11 0.943 0.500 0.254
F12 0.951 0.500 0.918

=====

Record 9
MgFe6O10F2 | PBE with a Hubbard U | optimized geometry

Calculated formation energy in kJ/mol of atoms: -168.8
Excess energy over the best structure of this formula in the dataset in meV/atom: 22
Space group: No. 1

Cell lengths 5.721, 5.899, 7.591 Å; angles 109.08, 97.67, 111.15 degrees
Element x y z (fractional)
Mg1 0.000 0.000 0.000
Fe1 0.007 0.453 0.943
Fe2 0.295 0.558 0.351
Fe3 0.361 0.997 0.801
Fe4 0.606 0.016 0.162
Fe5 0.631 0.530 0.665
Fe6 0.987 0.011 0.503
O1 0.017 0.686 0.807
O2 0.078 0.164 0.787
O3 0.220 0.838 0.525
O4 0.273 0.335 0.493
O5 0.332 0.697 0.156
O6 0.389 0.155 0.079
O7 0.596 0.837 0.874
O8 0.635 0.317 0.814
O9 0.663 0.700 0.479
O10 0.956 0.319 0.160
F1 0.740 0.186 0.449
F2 0.886 0.862 0.201

=====

Record 10
MgFe6O10F2 | PBE with a Hubbard U | optimized geometry

Calculated formation energy in kJ/mol of atoms: -167.7
Excess energy over the best structure of this formula in the dataset in meV/atom: 34
Space group: No. 1

Cell lengths 4.996, 5.602, 7.627 Å; angles 83.64, 86.44, 86.06 degrees
Element x y z (fractional)
Mg1 0.000 0.000 0.000
Fe1 0.026 0.389 0.188
Fe2 0.471 0.812 0.159
Fe3 0.508 0.507 0.502
Fe4 0.530 0.190 0.842
Fe5 0.974 0.613 0.811
Fe6 0.999 0.000 0.499
O1 0.167 0.666 0.056
O2 0.172 0.287 0.410
O3 0.305 0.797 0.403
O4 0.318 0.143 0.070
O5 0.325 0.467 0.730
O6 0.675 0.533 0.269
O7 0.681 0.860 0.928
O8 0.695 0.205 0.598
O9 0.822 0.711 0.588
O10 0.834 0.335 0.944
F1 0.164 0.967 0.748
F2 0.831 0.028 0.251

=====

Record 11
MgFe6O10F2 | PBE with a Hubbard U | optimized geometry

Calculated formation energy in kJ/mol of atoms: -168.2
Excess energy over the best structure of this formula in the dataset in meV/atom: 29
Space group: No. 1

Cell lengths 5.129, 5.706, 7.655 Å; angles 81.36, 84.64, 82.55 degrees
Element x y z (fractional)
Mg1 0.000 0.000 0.000
Fe1 0.398 0.469 0.487
Fe2 0.513 0.203 0.848
Fe3 0.515 0.888 0.209
Fe4 0.927 0.626 0.811
Fe5 0.946 0.367 0.192
Fe6 0.959 0.005 0.500
O1 0.133 0.291 0.408
O2 0.268 0.808 0.412
O3 0.276 0.455 0.739
O4 0.290 0.152 0.070
O5 0.630 0.549 0.275
O6 0.654 0.207 0.604
O7 0.668 0.883 0.943
O8 0.800 0.346 0.943
O9 0.804 0.730 0.591
O10 0.812 0.046 0.256
F1 0.114 0.649 0.059
F2 0.130 0.952 0.754

=====

Record 12
MgFe6O10F2 | PBE with a Hubbard U | optimized geometry

Calculated formation energy in kJ/mol of atoms: -166.1
Excess energy over the best structure of this formula in the dataset in meV/atom: 50
Space group: No. 1

Cell lengths 5.523, 5.780, 7.703 Å; angles 68.12, 70.94, 68.03 degrees
Element x y z (fractional)
Mg1 0.000 0.000 0.000
Fe1 0.074 0.480 0.526
Fe2 0.086 0.457 0.049
Fe3 0.379 0.752 0.690
Fe4 0.417 0.777 0.203
Fe5 0.629 0.073 0.760
Fe6 0.704 0.113 0.346
O1 0.088 0.090 0.193
O2 0.157 0.582 0.233
O3 0.312 0.684 0.484
O4 0.385 0.156 0.559
O5 0.413 0.857 0.920
O6 0.423 0.387 0.851
O7 0.632 0.991 0.172
O8 0.708 0.471 0.188
O9 0.758 0.777 0.554
O10 0.986 0.812 0.843
F1 0.858 0.252 0.533
F2 0.963 0.344 0.818

=====

Record 13
MgFe6O11F | PBE with a Hubbard U | optimized geometry

Calculated formation energy in kJ/mol of atoms: -154.7
Excess energy over the best structure of this formula in the dataset in meV/atom: 43
Space group: No. 1

Cell lengths 5.059, 5.118, 8.688 Å; angles 89.99, 89.99, 81.16 degrees
Element x y z (fractional)
Mg1 0.000 0.000 0.000
Fe1 0.054 0.618 0.500
Fe2 0.473 0.040 0.669
Fe3 0.474 0.040 0.330
Fe4 0.486 0.070 0.000
Fe5 0.921 0.493 0.821
Fe6 0.924 0.494 0.178
O1 0.146 0.354 0.001
O2 0.181 0.368 0.331
O3 0.183 0.368 0.668
O4 0.299 0.876 0.499
O5 0.305 0.909 0.150
O6 0.305 0.911 0.850
O7 0.698 0.201 0.156
O8 0.698 0.201 0.844
O9 0.782 0.715 0.001
O10 0.788 0.735 0.665
O11 0.789 0.734 0.333
F1 0.655 0.211 0.499

=====

Record 14
MgFe6O7F5 | PBE with a Hubbard U | optimized geometry

Calculated formation energy in kJ/mol of atoms: -198.7
Excess energy over the best structure of this formula in the dataset in meV/atom: 7
Space group: No. 1

Cell lengths 5.803, 6.019, 7.837 Å; angles 107.38, 98.13, 113.02 degrees
Element x y z (fractional)
Mg1 0.000 0.000 0.000
Fe1 0.016 0.528 0.035
Fe2 0.061 0.026 0.507
Fe3 0.324 0.553 0.380
Fe4 0.380 0.963 0.811
Fe5 0.644 0.049 0.224
Fe6 0.722 0.413 0.642
O1 0.051 0.698 0.844
O2 0.255 0.820 0.544
O3 0.361 0.319 0.506
O4 0.375 0.695 0.186
O5 0.675 0.287 0.844
O6 0.836 0.190 0.493
O7 0.978 0.300 0.179
F1 0.121 0.141 0.796
F2 0.396 0.158 0.095
F3 0.612 0.824 0.888
F4 0.735 0.694 0.492
F5 0.953 0.827 0.200

=====

Record 15
MgFe6O11F | PBE with a Hubbard U | optimized geometry

Calculated formation energy in kJ/mol of atoms: -155.0
Excess energy over the best structure of this formula in the dataset in meV/atom: 39
Space group: No. 6

Cell lengths 7.670, 2.942, 10.583 Å; angles 90.00, 110.18, 90.00 degrees
Element x y z (fractional)
Mg1 0.000 0.000 0.000
Fe1 0.213 0.000 0.817
Fe2 0.397 0.500 0.157
Fe3 0.508 0.000 0.476
Fe4 0.614 0.500 0.798
Fe5 0.822 0.000 0.180
Fe6 0.947 0.500 0.502
O1 0.036 0.000 0.632
O2 0.274 0.000 0.025
O3 0.356 0.500 0.478
O4 0.363 0.500 0.809
O5 0.409 0.000 0.279
O6 0.594 0.000 0.674
O7 0.646 0.500 0.159
O8 0.679 0.500 0.480
O9 0.719 0.000 0.918
O10 0.934 0.000 0.378
O11 0.971 0.500 0.127
F1 0.009 0.500 0.857